Material: Rb2CoB12H20O30
Method: DFT, PBE with a Hubbard U
State: optimized geometry

## Properties
Total DFT energy (no corrections)   -417.93 eV for the cell shown
Calculated formation energy   -2072 meV/atom

Unit cell a=7.577 b=7.917 c=11.135 alpha=107.42 beta=93.52 gamma=92.14
Space group P-1 (No. 2)
Asymmetric unit:
Rb 0.233 0.364 0.405
Co 0.500 0.000 0.000
B 0.046 0.247 0.953
B 0.150 0.864 0.564
B 0.173 0.992 0.798
B 0.342 0.302 0.884
B 0.384 0.113 0.651
B 0.397 0.438 0.713
H 0.110 0.712 0.379
H 0.115 0.571 0.949
H 0.197 0.018 0.125
H 0.210 0.815 0.897
H 0.229 0.555 0.165
H 0.284 0.751 0.248
H 0.367 0.018 0.216
H 0.368 0.698 0.744
H 0.373 0.958 0.408
H 0.490 0.647 0.956
O 0.041 0.072 0.884
O 0.069 0.728 0.465
O 0.086 0.883 0.679
O 0.087 0.697 0.966
O 0.181 0.366 0.948
O 0.189 0.655 0.232
O 0.286 0.974 0.548
O 0.288 0.883 0.856
O 0.293 0.137 0.774
O 0.321 0.066 0.146
O 0.384 0.279 0.620
O 0.396 0.590 0.676
O 0.413 0.446 0.839
O 0.433 0.936 0.327
O 0.470 0.250 0.969

---

Material: MgFeAuO2
Method: DFT, PBE with a Hubbard U
State: optimized geometry

## Properties
Total DFT energy (no corrections)   -52.86 eV for the cell shown
Offset from the most stable computed form   3 kJ/mol of formula units
Calculated formation energy   -1364 meV/atom

Unit cell a=5.371 b=3.092 c=8.385 alpha=90.00 beta=102.84 gamma=90.00
Space group Cm (No. 8)
Asymmetric unit:
Mg 0.000 0.000 0.000
Fe 0.108 0.000 0.329
Au 0.072 0.500 0.723
O 0.210 0.500 0.124
O 0.474 0.000 0.424

---

Material: Mn3SiO4F2
Method: DFT, PBE with a Hubbard U
State: optimized geometry

## Properties
Total DFT energy (no corrections)   -300.27 eV for the cell shown
Calculated formation energy   -2721 meV/atom

Unit cell a=10.961 b=9.323 c=4.926 alpha=90.00 beta=90.00 gamma=90.00
Space group Pnma (No. 62)
Asymmetric unit:
Mn 0.088 0.250 0.007
Mn 0.138 0.570 0.486
Si 0.221 0.750 0.921
O 0.083 0.750 0.785
O 0.209 0.110 0.279
O 0.223 0.750 0.253
F 0.032 0.083 0.732

---

Material: FeOF
Method: DFT, PBE with a Hubbard U
State: optimized geometry

## Properties
Total DFT energy (no corrections)   -324.41 eV for the cell shown
Calculated formation energy   -2032 meV/atom

Unit cell a=14.189 b=3.096 c=14.241 alpha=90.00 beta=90.02 gamma=90.00
Space group Pm (No. 6)
Asymmetric unit:
Fe 0.000 0.000 0.000
Fe 0.000 0.000 0.346
Fe 0.167 0.500 0.487
Fe 0.171 0.500 0.853
Fe 0.186 0.500 0.174
Fe 0.325 0.000 0.005
Fe 0.326 0.000 0.341
Fe 0.338 0.000 0.671
Fe 0.518 0.500 0.172
Fe 0.521 0.500 0.504
Fe 0.523 0.500 0.845
Fe 0.659 0.000 0.672
Fe 0.661 0.000 0.338
Fe 0.666 0.000 0.012
Fe 0.838 0.500 0.153
Fe 0.852 0.500 0.840
Fe 0.853 0.500 0.505
Fe 0.993 0.000 0.673
O 0.068 0.500 0.942
O 0.105 0.000 0.436
O 0.237 0.000 0.239
O 0.240 0.000 0.897
O 0.274 0.500 0.068
O 0.277 0.500 0.407
O 0.569 0.000 0.236
O 0.569 0.000 0.568
O 0.574 0.000 0.905
O 0.605 0.500 0.068
O 0.606 0.500 0.735
O 0.609 0.500 0.400
O 0.773 0.000 0.104
O 0.900 0.000 0.903
O 0.906 0.000 0.567
O 0.937 0.500 0.397
O 0.942 0.500 0.735
O 0.945 0.500 0.069
F 0.068 0.500 0.268
F 0.076 0.500 0.607
F 0.109 0.000 0.112
F 0.109 0.000 0.769
F 0.235 0.000 0.570
F 0.268 0.500 0.735
F 0.404 0.500 0.271
F 0.404 0.500 0.600
F 0.406 0.500 0.938
F 0.438 0.000 0.105
F 0.438 0.000 0.774
F 0.441 0.000 0.437
F 0.736 0.500 0.934
F 0.737 0.500 0.604
F 0.742 0.500 0.274
F 0.772 0.000 0.768
F 0.773 0.000 0.439
F 0.903 0.000 0.234

---

Material: SrEuNbFeO6
Method: DFT, PBE with a Hubbard U
State: optimized geometry

## Properties
Total DFT energy (no corrections)   -331.66 eV for the cell shown
Calculated formation energy   -2909 meV/atom

Unit cell a=8.058 b=8.058 c=8.058 alpha=90.00 beta=90.00 gamma=90.00
Space group F-43m (No. 216)
Asymmetric unit:
Sr 0.000 0.000 0.000
Eu 0.000 0.000 0.500
Nb 0.250 0.250 0.750
Fe 0.250 0.250 0.250
O 0.001 0.250 0.750

---

Material: Li4Ti5VO12
Method: DFT, PBE with a Hubbard U
State: optimized geometry

## Properties
Total DFT energy (no corrections)   -342.17 eV for the cell shown
Offset from the most stable computed form   52 kJ/mol of formula units
Calculated formation energy   -2975 meV/atom

Unit cell a=5.148 b=8.991 c=10.402 alpha=90.00 beta=90.35 gamma=90.00
Space group C2/m (No. 12)
Asymmetric unit:
Li 0.093 0.246 0.249
Ti 0.000 0.164 0.500
Ti 0.000 0.339 0.000
Ti 0.000 0.500 0.500
V 0.000 0.000 0.000
O 0.146 0.500 0.898
O 0.164 0.000 0.603
O 0.167 0.329 0.608
O 0.176 0.182 0.892

---

Material: MgCr3CuO8
Method: DFT, PBE with a Hubbard U
State: optimized geometry

## Properties
Total DFT energy (no corrections)   -173.65 eV for the cell shown
Calculated formation energy   -1852 meV/atom

Unit cell a=8.485 b=5.686 c=6.407 alpha=90.00 beta=91.98 gamma=90.00
Space group Cm (No. 8)
Asymmetric unit:
Mg 0.000 0.000 0.000
Cr 0.023 0.000 0.499
Cr 0.163 0.500 0.732
Cr 0.327 0.000 0.969
Cu 0.167 0.500 0.250
O 0.138 0.259 0.508
O 0.181 0.239 0.968
O 0.395 0.500 0.270
O 0.395 0.500 0.723
O 0.427 0.000 0.751
O 0.439 0.000 0.189

---

Material: P2H18WC6Cl2O4
Method: DFT, PBE with a Hubbard U
State: optimized geometry

## Properties
Total DFT energy (no corrections)   -708.05 eV for the cell shown
Calculated formation energy   -621 meV/atom

Unit cell a=11.055 b=12.154 c=16.614 alpha=90.00 beta=129.09 gamma=90.00
Space group P2_1/c (No. 14)
Asymmetric unit:
P 0.056 0.216 0.430
P 0.409 0.737 0.621
H 0.030 0.039 0.357
H 0.041 0.148 0.290
H 0.094 0.082 0.551
H 0.114 0.128 0.873
H 0.118 0.220 0.596
H 0.142 0.101 0.990
H 0.167 0.646 0.509
H 0.215 0.100 0.413
H 0.236 0.613 0.063
H 0.250 0.671 0.446
H 0.270 0.156 0.602
H 0.286 0.179 0.997
H 0.323 0.561 0.540
H 0.327 0.217 0.300
H 0.337 0.609 0.010
H 0.365 0.137 0.828
H 0.434 0.235 0.930
H 0.435 0.568 0.142
W 0.313 0.693 0.786
C 0.090 0.116 0.367
C 0.143 0.163 0.557
C 0.161 0.161 0.950
C 0.273 0.645 0.518
C 0.348 0.624 0.079
C 0.410 0.221 0.856
Cl 0.235 0.516 0.700
Cl 0.377 0.614 0.330
O 0.118 0.739 0.128
O 0.180 0.689 0.811
O 0.428 0.711 0.719
O 0.487 0.646 0.903